Entry 1:
SiO2: relaxed, r2SCAN.

a b c (Å): 5.359 5.359 5.438
angles (deg): 96.57 96.57 100.27
Sites, in units of the cell vectors:
Si (0.955, 0.053, 0.503)
Si (0.372, 0.526, 0.083)
Si (0.526, 0.372, 0.583)
Si (0.053, 0.955, 0.003)
O (0.564, 0.489, 0.876)
O (0.875, 0.903, 0.220)
O (0.269, 0.783, 0.033)
O (0.157, 0.263, 0.035)
O (0.903, 0.875, 0.720)
O (0.783, 0.269, 0.533)
O (0.489, 0.564, 0.376)
O (0.263, 0.157, 0.535)

The calculated formation energy comes out at -2956.5 meV per atom.

***

Entry 2:
ZrTaB4: relaxed, r2SCAN.

a b c (Å): 3.126 3.126 6.856
angles (deg): 90.00 90.00 120.00
Sites, in units of the cell vectors:
Zr (0.000, 0.000, 0.500)
Ta (0.000, 0.000, 0.000)
B (0.667, 0.333, 0.760)
B (0.667, 0.333, 0.240)
B (0.333, 0.667, 0.760)
B (0.333, 0.667, 0.240)

The calculated formation energy comes out at -875.5 meV per atom.

***

Entry 3:
Fe4As5O13: relaxed, r2SCAN.

a b c (Å): 8.976 9.065 9.136
angles (deg): 94.25 116.51 112.03
Sites, in units of the cell vectors:
Fe (0.000, 0.500, 0.000)
Fe (0.000, 0.500, 0.500)
Fe (0.737, 0.302, 0.619)
Fe (0.263, 0.698, 0.381)
Fe (0.351, 0.879, 0.806)
Fe (0.649, 0.121, 0.194)
Fe (0.466, 0.727, 0.103)
Fe (0.534, 0.273, 0.897)
As (0.899, 0.709, 0.697)
As (0.101, 0.291, 0.303)
As (0.165, 0.335, 0.835)
As (0.835, 0.665, 0.165)
As (0.213, 0.935, 0.100)
As (0.787, 0.065, 0.900)
As (0.527, 0.410, 0.259)
As (0.473, 0.590, 0.741)
As (0.699, 0.947, 0.458)
As (0.301, 0.053, 0.542)
O (0.093, 0.707, 0.687)
O (0.907, 0.293, 0.313)
O (0.627, 0.092, 0.956)
O (0.373, 0.908, 0.044)
O (0.001, 0.651, 0.353)
O (0.999, 0.349, 0.647)
O (0.480, 0.762, 0.352)
O (0.520, 0.238, 0.648)
O (0.266, 0.564, 0.556)
O (0.734, 0.436, 0.444)
O (0.866, 0.261, 0.856)
O (0.134, 0.739, 0.144)
O (0.289, 0.066, 0.733)
O (0.711, 0.934, 0.267)
O (0.139, 0.465, 0.221)
O (0.861, 0.535, 0.779)
O (0.774, 0.476, 0.025)
O (0.226, 0.524, 0.975)
O (0.620, 0.104, 0.418)
O (0.380, 0.896, 0.582)
O (0.372, 0.411, 0.805)
O (0.628, 0.589, 0.195)
O (0.980, 0.123, 0.110)
O (0.516, 0.260, 0.114)
O (0.020, 0.877, 0.890)
O (0.484, 0.740, 0.886)

The calculated formation energy comes out at -1434.0 meV per atom.

***

Entry 4:
TlBi2Cl7: relaxed, r2SCAN.

a b c (Å): 7.028 8.743 10.793
angles (deg): 75.65 72.41 72.99
Sites, in units of the cell vectors:
Tl (0.058, 0.668, 0.128)
Tl (0.942, 0.332, 0.872)
Bi (0.315, 0.129, 0.163)
Bi (0.685, 0.871, 0.837)
Bi (0.429, 0.755, 0.527)
Bi (0.571, 0.245, 0.473)
Cl (0.739, 0.018, 0.012)
Cl (0.261, 0.982, 0.988)
Cl (0.920, 0.245, 0.203)
Cl (0.080, 0.755, 0.797)
Cl (0.186, 0.849, 0.362)
Cl (0.814, 0.151, 0.638)
Cl (0.351, 0.050, 0.646)
Cl (0.649, 0.950, 0.354)
Cl (0.290, 0.348, 0.319)
Cl (0.710, 0.652, 0.681)
Cl (0.698, 0.549, 0.382)
Cl (0.302, 0.451, 0.618)
Cl (0.341, 0.372, 0.972)
Cl (0.659, 0.628, 0.028)

The calculated formation energy comes out at -1103.8 meV per atom.

***

Entry 5:
SrTl2O4: relaxed, r2SCAN.

a b c (Å): 3.431 10.092 11.788
angles (deg): 90.00 90.00 90.00
Sites, in units of the cell vectors:
Sr (0.250, 0.245, 0.348)
Sr (0.750, 0.755, 0.652)
Sr (0.250, 0.745, 0.152)
Sr (0.750, 0.255, 0.848)
Tl (0.250, 0.580, 0.892)
Tl (0.750, 0.420, 0.108)
Tl (0.250, 0.080, 0.608)
Tl (0.750, 0.920, 0.392)
Tl (0.250, 0.576, 0.390)
Tl (0.750, 0.424, 0.610)
Tl (0.250, 0.076, 0.110)
Tl (0.750, 0.924, 0.890)
O (0.250, 0.587, 0.574)
O (0.750, 0.413, 0.426)
O (0.250, 0.087, 0.926)
O (0.750, 0.913, 0.074)
O (0.250, 0.479, 0.221)
O (0.750, 0.521, 0.779)
O (0.250, 0.979, 0.279)
O (0.750, 0.021, 0.721)
O (0.250, 0.875, 0.524)
O (0.750, 0.125, 0.476)
O (0.250, 0.375, 0.976)
O (0.750, 0.625, 0.024)
O (0.750, 0.710, 0.321)
O (0.250, 0.290, 0.679)
O (0.750, 0.210, 0.179)
O (0.250, 0.790, 0.821)

The calculated formation energy comes out at -1494.3 meV per atom.

***

Entry 6:
Hf6Co16Si7: relaxed, r2SCAN.

a b c (Å): 7.981 7.981 7.981
angles (deg): 60.00 60.00 60.00
Sites, in units of the cell vectors:
Hf (0.207, 0.793, 0.793)
Hf (0.793, 0.793, 0.207)
Hf (0.793, 0.207, 0.207)
Hf (0.207, 0.207, 0.793)
Hf (0.793, 0.207, 0.793)
Hf (0.207, 0.793, 0.207)
Co (0.620, 0.620, 0.141)
Co (0.173, 0.482, 0.173)
Co (0.859, 0.380, 0.380)
Co (0.518, 0.827, 0.827)
Co (0.482, 0.173, 0.173)
Co (0.827, 0.827, 0.518)
Co (0.173, 0.173, 0.482)
Co (0.141, 0.620, 0.620)
Co (0.173, 0.173, 0.173)
Co (0.380, 0.380, 0.859)
Co (0.620, 0.620, 0.620)
Co (0.380, 0.859, 0.380)
Co (0.380, 0.380, 0.380)
Co (0.827, 0.827, 0.827)
Co (0.620, 0.141, 0.620)
Co (0.827, 0.518, 0.827)
Si (0.500, 0.000, 0.500)
Si (0.500, 0.500, 0.000)
Si (0.500, 0.500, 0.500)
Si (0.000, 0.000, 0.500)
Si (0.000, 0.500, 0.000)
Si (0.000, 0.500, 0.500)
Si (0.500, 0.000, 0.000)

The calculated formation energy comes out at -623.3 meV per atom.

***

Entry 7:
PaIn3: relaxed, r2SCAN.

a b c (Å): 4.641 4.641 4.642
angles (deg): 90.00 90.00 90.01
Sites, in units of the cell vectors:
Pa (0.000, 0.000, 0.000)
In (0.000, 0.500, 0.500)
In (0.500, 0.000, 0.500)
In (0.500, 0.500, 0.000)

The calculated formation energy comes out at -251.6 meV per atom.

***

Entry 8:
Sc3Cd: relaxed, r2SCAN.

a b c (Å): 6.382 6.382 5.232
angles (deg): 90.00 90.00 120.00
Sites, in units of the cell vectors:
Sc (0.170, 0.339, 0.250)
Sc (0.660, 0.830, 0.250)
Sc (0.170, 0.830, 0.250)
Sc (0.830, 0.661, 0.750)
Sc (0.340, 0.170, 0.750)
Sc (0.830, 0.170, 0.750)
Cd (0.333, 0.667, 0.750)
Cd (0.667, 0.333, 0.250)

The calculated formation energy comes out at -156.4 meV per atom.